TlGaI4 | the Materials Project | PBE-GGA | optimized geometry; energy relative to the elements = -0.851 eV/atom
1.0
8.412 0.000 0.000
0.000 8.123 0.000
-1.527 0.000 16.414
Tl Ga I
4 4 16
direct
0.245 0.004 0.138 Tl
0.245 0.496 0.638 Tl
0.755 0.504 0.362 Tl
0.755 0.996 0.862 Tl
0.256 0.142 0.861 Ga
0.256 0.358 0.361 Ga
0.744 0.642 0.639 Ga
0.744 0.858 0.139 Ga
0.080 0.239 0.468 I
0.080 0.261 0.968 I
0.083 0.109 0.723 I
0.083 0.391 0.223 I
0.362 0.644 0.411 I
0.362 0.856 0.911 I
0.486 0.154 0.340 I
0.486 0.346 0.840 I
0.514 0.654 0.160 I
0.514 0.846 0.660 I
0.638 0.144 0.089 I
0.638 0.356 0.589 I
0.917 0.609 0.777 I
0.917 0.891 0.277 I
0.920 0.739 0.032 I
0.920 0.761 0.532 I